(1)
MgV8Zn4O16 | PBE+U | optimized geometry

Cell: 3.189 10.515 10.342 Å, 94.21 104.06 90.05°
Fractional coordinates of all 29 atoms:
O 0.715 0.101 0.468
O 0.109 0.946 0.270
O 0.770 0.051 0.796
O 0.985 0.238 0.223
O 0.572 0.734 0.283
O 0.618 0.397 0.479
O 0.169 0.605 0.498
O 0.728 0.520 0.728
O 0.253 0.338 0.977
O 0.755 0.868 0.005
O 0.053 0.760 0.766
O 0.853 0.584 0.021
O 0.511 0.464 0.222
O 0.285 0.888 0.520
O 0.277 0.275 0.706
O 0.321 0.072 0.030
V 0.901 0.410 0.109
V 0.576 0.579 0.377
V 0.316 0.082 0.601
V 0.699 0.917 0.393
V 0.258 0.601 0.885
V 0.189 0.442 0.595
V 0.905 0.060 0.139
V 0.167 0.910 0.897
Zn 0.965 0.745 0.154
Zn 0.451 0.755 0.643
Zn 0.582 0.247 0.348
Zn 0.832 0.357 0.807
Mg 0.328 0.165 0.873

Calculated values
M_tot in μB per formula unit: 18.0
Calculated density in Mg/m³: 4.7
SG: P1 (1)
Offset from the most stable computed form in meV per atom: 19
Energy of formation in eV/atom: -2.13



(2)
V18Cu20O57 | PBE+U | optimized geometry

Cell: 7.854 12.206 12.207 Å, 64.03 87.23 87.23°
Fractional coordinates of all 95 atoms:
V 0.081 0.590 0.301
V 0.252 0.073 0.366
V 0.919 0.410 0.699
V 0.417 0.249 0.968
V 0.485 0.307 0.190
V 0.196 0.024 0.138
V 0.804 0.976 0.862
V 0.148 0.642 0.524
V 0.905 0.713 0.887
V 0.852 0.358 0.476
V 0.515 0.693 0.810
V 0.748 0.927 0.634
V 0.762 0.621 0.449
V 0.583 0.751 0.032
V 0.570 0.045 0.211
V 0.238 0.379 0.551
V 0.095 0.287 0.113
V 0.430 0.955 0.789
O 0.584 0.415 0.218
O 0.215 0.347 0.962
O 0.151 0.650 0.152
O 0.646 0.177 0.239
O 0.604 0.136 0.042
O 0.982 0.845 0.902
O 0.018 0.155 0.098
O 0.454 0.989 0.373
O 0.253 0.051 0.751
O 0.063 0.205 0.294
O 0.585 0.716 0.417
O 0.731 0.536 0.626
O 0.396 0.864 0.958
O 0.627 0.784 0.641
O 0.120 0.320 0.706
O 0.133 0.982 0.306
O 0.086 0.918 0.116
O 0.416 0.585 0.782
O 0.785 0.653 0.038
O 0.415 0.284 0.583
O 0.000 0.500 0.500
O 0.484 0.315 0.818
O 0.849 0.350 0.848
O 0.746 0.611 0.843
O 0.250 0.748 0.550
O 0.937 0.795 0.706
O 0.269 0.464 0.374
O 0.747 0.949 0.249
O 0.914 0.082 0.884
O 0.354 0.823 0.761
O 0.285 0.122 0.976
O 0.469 0.646 0.973
O 0.081 0.616 0.918
O 0.685 0.489 0.429
O 0.800 0.314 0.640
O 0.254 0.389 0.157
O 0.880 0.680 0.294
O 0.079 0.278 0.512
O 0.750 0.252 0.450
O 0.546 0.011 0.627
O 0.042 0.549 0.692
O 0.516 0.685 0.182
O 0.867 0.018 0.694
O 0.409 0.945 0.184
O 0.921 0.722 0.488
O 0.667 0.833 0.833
O 0.818 0.983 0.485
O 0.315 0.511 0.571
O 0.182 0.017 0.515
O 0.531 0.354 0.027
O 0.591 0.055 0.816
O 0.200 0.686 0.360
O 0.919 0.384 0.082
O 0.715 0.878 0.024
O 0.958 0.451 0.308
O 0.333 0.167 0.167
O 0.373 0.216 0.359
Cu 0.746 0.435 0.950
Cu 0.161 0.824 0.020
Cu 0.415 0.768 0.282
Cu 0.839 0.176 0.980
Cu 0.848 0.850 0.166
Cu 0.171 0.844 0.648
Cu 0.152 0.150 0.834
Cu 0.818 0.485 0.166
Cu 0.254 0.565 0.050
Cu 0.829 0.156 0.352
Cu 0.494 0.490 0.688
Cu 0.514 0.181 0.500
Cu 0.182 0.515 0.834
Cu 0.168 0.332 0.332
Cu 0.486 0.819 0.500
Cu 0.585 0.232 0.718
Cu 0.832 0.668 0.668
Cu 0.506 0.510 0.312
Cu 0.919 0.900 0.383
Cu 0.081 0.100 0.617

Calculated values
M_tot in μB per formula unit: 4.0
Calculated density in Mg/m³: 4.9
SG: P-1 (2)
Energy of formation in eV/atom: -1.78



(3)
KMg6FeO8 | PBE+U | optimized geometry

Cell: 8.586 4.495 4.495 Å, 90.00 90.00 90.00°
Fractional coordinates of all 16 atoms:
O 0.781 0.000 0.000
O 0.000 0.500 0.000
O 0.000 0.000 0.500
O 0.754 0.500 0.500
O 0.219 0.000 0.000
O 0.246 0.500 0.500
O 0.500 0.500 0.000
O 0.500 0.000 0.500
Mg 0.500 0.500 0.500
Mg 0.743 0.000 0.500
Mg 0.257 0.500 0.000
Mg 0.000 0.500 0.500
Mg 0.257 0.000 0.500
Mg 0.743 0.500 0.000
Fe 0.000 0.000 0.000
K 0.500 0.000 0.000

Calculated values
M_tot in μB per formula unit: 5.0
Calculated density in Mg/m³: 3.5
SG: P4/mmm (123)
Offset from the most stable computed form in meV per atom: 0
Energy of formation in eV/atom: -2.45



(4)
MgMn4O7F | PBE+U | optimized geometry

Cell: 5.208 6.159 5.052 Å, 89.96 71.42 89.01°
Fractional coordinates of all 13 atoms:
F 0.729 0.838 0.038
Mg 0.503 0.092 0.267
O 0.744 0.571 0.493
O 0.274 0.567 0.033
O 0.271 0.156 0.011
O 0.715 0.367 0.029
O 0.304 0.835 0.468
O 0.759 0.145 0.504
O 0.300 0.375 0.501
Mn 0.508 0.357 0.770
Mn 0.905 0.852 0.604
Mn 0.009 0.354 0.249
Mn 0.493 0.597 0.271

Calculated values
M_tot in μB per formula unit: 15.0
Calculated density in Mg/m³: 4.1
SG: P1 (1)
Offset from the most stable computed form in meV per atom: 0
Energy of formation in eV/atom: -2.16



(5)
Mg14VFeO16 | PBE+U | optimized geometry

Cell: 8.556 8.556 4.280 Å, 90.00 90.00 90.00°
Fractional coordinates of all 32 atoms:
O 0.000 0.254 0.000
O 0.500 0.245 0.000
O 0.750 0.750 0.500
O 0.254 0.000 0.000
O 0.500 0.500 0.500
O 0.250 0.750 0.500
O 0.245 0.500 0.000
O 0.000 0.500 0.500
O 0.500 0.755 0.000
O 0.000 0.746 0.000
O 0.250 0.250 0.500
O 0.000 0.000 0.500
O 0.755 0.500 0.000
O 0.750 0.250 0.500
O 0.500 0.000 0.500
O 0.746 0.000 0.000
Mg 0.250 0.750 0.000
Mg 0.250 0.250 0.000
Mg 0.750 0.000 0.500
Mg 0.500 0.000 0.000
Mg 0.000 0.250 0.500
Mg 0.500 0.249 0.500
Mg 0.000 0.500 0.000
Mg 0.750 0.250 0.000
Mg 0.751 0.500 0.500
Mg 0.249 0.500 0.500
Mg 0.250 0.000 0.500
Mg 0.000 0.750 0.500
Mg 0.500 0.751 0.500
Mg 0.750 0.750 0.000
V 0.500 0.500 0.000
Fe 0.000 0.000 0.000

Calculated values
M_tot in μB per formula unit: 7.0
Calculated density in Mg/m³: 3.7
SG: P4/mmm (123)
Offset from the most stable computed form in meV per atom: 28
Energy of formation in eV/atom: -2.86



(6)
Fe2Cu3Se6O18 | PBE+U | optimized geometry

Cell: 7.736 8.387 12.642 Å, 90.00 96.00 90.00°
Fractional coordinates of all 58 atoms:
O 0.750 0.958 0.484
O 0.911 0.028 0.887
O 0.248 0.384 0.054
O 0.250 0.042 0.516
O 0.487 0.303 0.254
O 0.540 0.403 0.673
O 0.193 0.230 0.870
O 0.693 0.270 0.870
O 0.343 0.032 0.323
O 0.450 0.769 0.503
O 0.748 0.116 0.054
O 0.550 0.231 0.497
O 0.460 0.597 0.327
O 0.411 0.472 0.887
O 0.843 0.468 0.323
O 0.307 0.730 0.130
O 0.960 0.903 0.327
O 0.013 0.803 0.746
O 0.356 0.985 0.747
O 0.589 0.528 0.113
O 0.752 0.616 0.946
O 0.950 0.731 0.503
O 0.040 0.097 0.673
O 0.807 0.770 0.130
O 0.657 0.968 0.677
O 0.252 0.884 0.946
O 0.644 0.015 0.253
O 0.144 0.485 0.253
O 0.987 0.197 0.254
O 0.050 0.269 0.497
O 0.750 0.458 0.516
O 0.089 0.972 0.113
O 0.250 0.542 0.484
O 0.157 0.532 0.677
O 0.856 0.515 0.747
O 0.513 0.697 0.746
Cu 0.367 0.627 0.619
Cu 0.867 0.873 0.619
Cu 0.500 0.000 0.500
Cu 0.000 0.500 0.500
Cu 0.133 0.127 0.381
Cu 0.633 0.373 0.381
Se 0.056 0.600 0.783
Se 0.444 0.100 0.217
Se 0.136 0.801 0.044
Se 0.809 0.809 0.394
Se 0.691 0.309 0.606
Se 0.944 0.400 0.217
Se 0.636 0.699 0.044
Se 0.556 0.900 0.783
Se 0.309 0.691 0.394
Se 0.364 0.301 0.956
Se 0.191 0.191 0.606
Se 0.864 0.199 0.956
Fe 0.635 0.495 0.824
Fe 0.865 0.995 0.176
Fe 0.365 0.505 0.176
Fe 0.135 0.005 0.824

Calculated values
M_tot in μB per formula unit: 12.0
Calculated density in Mg/m³: 4.3
SG: P2_1/c (14)
Offset from the most stable computed form in meV per atom: 0
Energy of formation in eV/atom: -1.25



(7)
Ca10Ti8NbFeO30 | PBE+U | optimized geometry

Cell: 5.437 5.534 38.618 Å, 90.07 90.05 90.23°
Fractional coordinates of all 100 atoms:
Ca 0.518 0.542 0.450
Ca 0.007 0.968 0.148
Ca 0.510 0.547 0.050
Ca 0.511 0.538 0.654
Ca 0.993 0.032 0.852
Ca 0.996 0.054 0.247
Ca 0.490 0.453 0.950
Ca 0.494 0.465 0.148
Ca 0.009 0.968 0.549
Ca 0.506 0.535 0.852
Ca 0.019 0.968 0.346
Ca 0.004 0.946 0.753
Ca 0.992 0.048 0.049
Ca 0.981 0.032 0.654
Ca 0.489 0.462 0.346
Ca 0.991 0.032 0.451
Ca 0.482 0.458 0.550
Ca 0.513 0.553 0.247
Ca 0.487 0.447 0.753
Ca 0.008 0.952 0.951
O 0.909 0.509 0.550
O 0.219 0.214 0.190
O 0.584 0.028 0.549
O 0.209 0.211 0.992
O 0.072 0.477 0.852
O 0.917 0.523 0.348
O 0.416 0.972 0.451
O 0.219 0.220 0.389
O 0.295 0.710 0.107
O 0.791 0.789 0.008
O 0.705 0.290 0.893
O 0.802 0.794 0.206
O 0.198 0.206 0.794
O 0.792 0.786 0.408
O 0.289 0.710 0.992
O 0.277 0.714 0.591
O 0.781 0.780 0.611
O 0.710 0.283 0.612
O 0.701 0.286 0.810
O 0.199 0.204 0.711
O 0.928 0.523 0.148
O 0.722 0.298 0.288
O 0.296 0.722 0.306
O 0.714 0.290 0.090
O 0.215 0.219 0.508
O 0.784 0.790 0.893
O 0.785 0.781 0.492
O 0.091 0.491 0.450
O 0.577 0.020 0.951
O 0.720 0.296 0.206
O 0.423 0.980 0.049
O 0.286 0.710 0.910
O 0.797 0.789 0.090
O 0.704 0.278 0.694
O 0.203 0.211 0.910
O 0.405 0.968 0.654
O 0.781 0.786 0.810
O 0.216 0.210 0.107
O 0.911 0.513 0.752
O 0.083 0.480 0.049
O 0.801 0.796 0.289
O 0.917 0.520 0.951
O 0.720 0.283 0.490
O 0.595 0.032 0.346
O 0.416 0.977 0.852
O 0.584 0.023 0.148
O 0.723 0.286 0.409
O 0.299 0.714 0.190
O 0.280 0.717 0.510
O 0.570 0.015 0.753
O 0.711 0.290 0.008
O 0.083 0.477 0.652
O 0.280 0.704 0.794
O 0.223 0.221 0.306
O 0.089 0.487 0.248
O 0.777 0.779 0.694
O 0.278 0.702 0.712
O 0.208 0.214 0.592
O 0.430 0.985 0.247
O 0.290 0.717 0.388
Ti 0.500 0.000 0.500
Ti 0.000 0.484 0.902
Ti 0.500 0.000 0.000
Ti 0.000 0.500 0.000
Ti 0.000 0.500 0.500
Ti 0.495 0.013 0.099
Ti 0.492 0.011 0.198
Ti 0.004 0.484 0.803
Ti 0.000 0.516 0.098
Ti 0.505 0.987 0.901
Ti 0.503 0.009 0.299
Ti 0.497 0.991 0.701
Ti 0.996 0.516 0.197
Ti 0.999 0.513 0.295
Ti 0.508 0.989 0.802
Ti 0.001 0.487 0.705
Fe 0.497 0.999 0.601
Fe 0.503 0.001 0.399
Nb 0.996 0.498 0.602
Nb 0.004 0.502 0.398

Calculated values
M_tot in μB per formula unit: 5.0
Calculated density in Mg/m³: 4.0
SG: P-1 (2)
Energy of formation in eV/atom: -3.43